# 1
Entry from Materials Project: an optimized crystal structure of CuTeSeI (PBE).

a b c (Å): 4.8664 8.4639 13.1756
angles (deg): 64.06 90.00 90.00
Fractional coordinates of all 16 atoms:
Cu 0.8786 0.8033 0.2509
Cu 0.1214 0.1967 0.7491
Cu 0.3786 0.1967 0.2491
Cu 0.6214 0.8033 0.7509
Te 0.5086 0.7124 0.1487
Te 0.4914 0.2876 0.8513
Te 0.0086 0.2876 0.3513
Te 0.9914 0.7124 0.6487
Se 0.7195 0.4213 0.1599
Se 0.2805 0.5787 0.8401
Se 0.2195 0.5787 0.3401
Se 0.7805 0.4213 0.6599
I 0.6392 0.9028 0.3926
I 0.3608 0.0972 0.6074
I 0.1392 0.0972 0.1074
I 0.8608 0.9028 0.8926

## Properties
magnetic moment: 0.000 μB per formula unit
crystal system: monoclinic
formation energy from the elements: -0.2366 eV/atom


# 2
Entry from Materials Project: an optimized crystal structure of Na2BiBPO7 (PBE).

a b c (Å): 7.0596 5.4775 9.4992
angles (deg): 87.48 90.00 90.00
Fractional coordinates of all 24 atoms:
Na 0.0016 0.2403 0.7854
Na 0.4984 0.2403 0.7854
Na 0.5016 0.7597 0.2146
Na 0.9984 0.7597 0.2146
Bi 0.7500 0.7866 0.6309
Bi 0.2500 0.2134 0.3691
B 0.7500 0.7378 0.9154
B 0.2500 0.2622 0.0846
P 0.2500 0.7260 0.5931
P 0.7500 0.2740 0.4069
O 0.2500 0.2962 0.9414
O 0.7500 0.9593 0.8411
O 0.7500 0.5294 0.8370
O 0.0750 0.8462 0.6613
O 0.4250 0.8462 0.6613
O 0.7500 0.2040 0.5714
O 0.2500 0.4451 0.6100
O 0.7500 0.5549 0.3900
O 0.2500 0.7960 0.4286
O 0.5750 0.1538 0.3387
O 0.9250 0.1538 0.3387
O 0.2500 0.4706 0.1630
O 0.2500 0.0407 0.1589
O 0.7500 0.7038 0.0586

## Properties
magnetic moment: 1.003 μB per formula unit
crystal system: monoclinic
formation energy from the elements: -2.3160 eV/atom


# 3
Entry from Materials Project: an optimized crystal structure of Tm5Re2C7 (PBE).

a b c (Å): 8.2147 8.2147 3.3788
angles (deg): 90.00 90.00 122.04
Fractional coordinates of all 14 atoms:
Tm 0.5000 0.5000 0.0000
Tm 0.0772 0.3359 0.5000
Tm 0.9228 0.6641 0.5000
Tm 0.6641 0.9228 0.5000
Tm 0.3359 0.0772 0.5000
Re 0.7146 0.2854 0.0000
Re 0.2854 0.7146 0.0000
C 0.6244 0.3756 0.5000
C 0.3756 0.6244 0.5000
C 0.0000 0.0000 0.0000
C 0.1708 0.1708 0.0000
C 0.8292 0.8292 0.0000
C 0.0000 0.5000 0.0000
C 0.5000 0.0000 0.0000

## Properties
crystal system: orthorhombic
formation energy from the elements: -0.4189 eV/atom


Asked for theoretical density across the records above, the calculation gives 5403; 3699; 11180 kg/m3 in order.